No. 1
DFT (PBE) results for CsMgBr3O6 after structural relaxation.

a b c (Å): 7.4914 7.4914 12.5088
angles (deg): 71.49 71.49 55.96
Closest atoms and distances in Å follow each position.
Fractional coordinates of all 22 atoms:
Cs 0.1415 0.8585 0.2500  2 O 3.00
Cs 0.8585 0.1415 0.7500  2 O 3.00
Mg 0.0000 0.5000 0.0000  4 O 1.96-2.07
Mg 0.5000 0.0000 0.5000  4 O 1.96-2.07
Br 0.5000 0.0000 0.0000  2 O 1.95
Br 0.0000 0.5000 0.5000  2 O 1.95
Br 0.3048 0.2518 0.2582  2 O 1.70-1.76
Br 0.7482 0.6952 0.2418  2 O 1.70-1.76
Br 0.6952 0.7482 0.7418  2 O 1.70-1.76
Br 0.2518 0.3048 0.7582  2 O 1.70-1.76
O 0.2055 0.2039 0.0693  1 Br 1.95, 1 Mg 1.96
O 0.7961 0.7945 0.4307  1 Br 1.95, 1 Mg 1.96
O 0.7945 0.7961 0.9307  1 Br 1.95, 1 Mg 1.96
O 0.2039 0.2055 0.5693  1 Br 1.95, 1 Mg 1.96
O 0.9792 0.6244 0.1322  1 Br 1.76
O 0.3756 0.0208 0.3678  1 Br 1.76
O 0.0208 0.3756 0.8678  1 Br 1.76
O 0.6244 0.9792 0.6322  1 Br 1.76
O 0.4649 0.7376 0.8098  1 Br 1.70
O 0.2624 0.5351 0.6902  1 Br 1.70
O 0.5351 0.2624 0.1902  1 Br 1.70
O 0.7376 0.4649 0.3098  1 Br 1.70

Properties
V ... 24.67 A^3/atom
ΔE_f ... -0.83 eV per atom
M_tot ... 0.00 μB per cell
MP2020-corrected energy ... -4.202 eV/atom

=====

No. 2
DFT (PBE) results for Er10Ga5Co after structural relaxation.

a b c (Å): 8.7488 8.6806 7.5141
angles (deg): 64.93 63.99 51.07
Closest atoms and distances in Å follow each position.
Fractional coordinates of all 16 atoms:
Er 0.8155 0.4801 0.5199  5 Ga 3.01-3.12, 1 Er 3.33
Er 0.4701 0.8187 0.1813  1 Co 2.96, 4 Ga 3.05-3.11
Er 0.3105 0.9793 0.6961  1 Co 2.92, 4 Ga 2.96-3.21
Er 0.9859 0.3039 0.0207  1 Co 2.92, 4 Ga 2.96-3.21
Er 0.1813 0.5299 0.4701  1 Co 2.96, 4 Ga 3.05-3.11
Er 0.5199 0.1845 0.8155  5 Ga 3.01-3.12, 1 Er 3.33
Er 0.6961 0.0141 0.3105  1 Co 2.92, 4 Ga 2.96-3.21
Er 0.0207 0.6895 0.9859  1 Co 2.92, 4 Ga 2.96-3.21
Er 0.4879 0.5121 0.0052  1 Co 2.87, 3 Ga 2.98-3.06
Er 0.0052 0.9948 0.4879  1 Co 2.87, 3 Ga 2.98-3.06
Ga 0.7514 0.7486 0.7514  10 Er 3.11-3.46
Ga 0.2514 0.2486 0.2514  10 Er 3.11-3.46
Ga 0.8778 0.1222 0.8778  1 Co 2.63
Ga 0.6269 0.3731 0.3769  1 Ga 2.63
Ga 0.3769 0.6231 0.6269  1 Ga 2.63
Co 0.1225 0.8775 0.1225  1 Ga 2.63, 6 Er 2.87-2.92

Properties
V ... 24.37 A^3/atom
ΔE_f ... -0.44 eV per atom
M_tot ... 0.00 μB per cell

=====

No. 3
DFT (PBE) results for MgTi2O4 after structural relaxation.

a b c (Å): 6.0580 6.0580 6.0580
angles (deg): 121.82 119.41 88.95
Closest atoms and distances in Å follow each position.
Fractional coordinates of all 14 atoms:
Mg 0.0000 0.5000 0.5000  6 O 2.09-2.14
Mg 0.5000 0.5000 0.0000  6 O 2.09-2.14
Ti 0.1291 0.8791 0.2500  4 O 1.90-1.92
Ti 0.8709 0.1209 0.7500  4 O 1.90-1.92
Ti 0.5000 0.0000 0.0000  6 O 2.07-2.11
Ti 0.5000 0.5000 0.5000  6 O 2.07-2.11
O 0.7395 0.2484 0.0088  2 Ti 1.90-2.07, 2 Mg 2.09
O 0.7501 0.2526 0.4975  3 Ti 1.92-2.11, 1 Mg 2.14
O 0.7395 0.7307 0.4912  2 Ti 1.90-2.07, 2 Mg 2.09
O 0.2551 0.2526 0.0025  3 Ti 1.92-2.11, 1 Mg 2.14
O 0.7449 0.7474 0.9975  3 Ti 1.92-2.11, 1 Mg 2.14
O 0.2499 0.7474 0.5025  3 Ti 1.92-2.11, 1 Mg 2.14
O 0.2605 0.2693 0.5088  2 Ti 1.90-2.07, 2 Mg 2.09
O 0.2605 0.7516 0.9912  2 Ti 1.90-2.07, 2 Mg 2.09

Properties
V ... 11.12 A^3/atom
ΔE_f ... -3.15 eV per atom
M_tot ... 2.75 μB per cell
Polymorph energy (0 for the lowest one) ... 49 kJ/mol of formula units
MP2020-corrected energy ... -8.461 eV/atom

=====

No. 4
DFT (PBE) results for ZnPd3 after structural relaxation.

a b c (Å): 3.9281 3.9281 3.9281
angles (deg): 90.00 90.00 90.00
Closest atoms and distances in Å follow each position.
Fractional coordinates of all 4 atoms:
Zn 0.0000 0.0000 0.0000  12 Pd 2.78
Pd 0.0000 0.5000 0.5000  8 Pd 2.78, 4 Zn 2.78
Pd 0.5000 0.0000 0.5000  8 Pd 2.78, 4 Zn 2.78
Pd 0.5000 0.5000 0.0000  8 Pd 2.78, 4 Zn 2.78

Properties
V ... 15.15 A^3/atom
ΔE_f ... -0.32 eV per atom

=====

No. 5
DFT (PBE) results for Al19Co6 after structural relaxation.

a b c (Å): 8.5726 8.5726 12.4163
angles (deg): 73.84 73.84 56.28
Closest atoms and distances in Å follow each position.
Fractional coordinates of all 50 atoms:
Al 0.2307 0.7796 0.3282  3 Co 2.45-2.56, 2 Al 2.61-2.74
Al 0.7693 0.2204 0.6718  3 Co 2.45-2.56, 2 Al 2.61-2.74
Al 0.2204 0.7693 0.6718  3 Co 2.45-2.56, 2 Al 2.61-2.74
Al 0.7796 0.2307 0.3282  3 Co 2.45-2.56, 2 Al 2.61-2.74
Al 0.5775 0.5775 0.4200  4 Co 2.49-2.60, 5 Al 2.50-2.74
Al 0.4225 0.4225 0.5800  4 Co 2.49-2.60, 5 Al 2.50-2.74
Al 0.7342 0.7342 0.4792  2 Co 2.34-2.41
Al 0.2658 0.2658 0.5208  2 Co 2.34-2.41
Al 0.5402 0.0983 0.3363  3 Co 2.50-2.59, 3 Al 2.69-2.76
Al 0.4598 0.9017 0.6637  3 Co 2.50-2.59, 3 Al 2.69-2.76
Al 0.9017 0.4598 0.6637  3 Co 2.50-2.59, 3 Al 2.69-2.76
Al 0.0983 0.5402 0.3363  3 Co 2.50-2.59, 3 Al 2.69-2.76
Al 0.7445 0.7445 0.0224  2 Co 2.33-2.34
Al 0.2555 0.2555 0.9776  2 Co 2.33-2.34
Al 0.9739 0.9739 0.1679  3 Co 2.39-2.48, 1 Al 2.64
Al 0.0261 0.0261 0.8321  3 Co 2.39-2.48, 1 Al 2.64
Al 0.5914 0.5914 0.2136  3 Co 2.46-2.48, 7 Al 2.50-2.74
Al 0.4086 0.4086 0.7864  3 Co 2.46-2.48, 7 Al 2.50-2.74
Al 0.6768 0.0682 0.5220  2 Co 2.41-2.44, 1 Al 2.61
Al 0.3232 0.9318 0.4780  2 Co 2.41-2.44, 1 Al 2.61
Al 0.9318 0.3232 0.4780  2 Co 2.41-2.44, 1 Al 2.61
Al 0.0682 0.6768 0.5220  2 Co 2.41-2.44, 1 Al 2.61
Al 0.8344 0.8344 0.7229  2 Co 2.24
Al 0.1656 0.1656 0.2771  2 Co 2.24
Al 0.3463 0.9128 0.1082  3 Co 2.47-2.70, 4 Al 2.61-2.72
Al 0.6537 0.0872 0.8918  3 Co 2.47-2.70, 4 Al 2.61-2.72
Al 0.0872 0.6537 0.8918  3 Co 2.47-2.70, 4 Al 2.61-2.72
Al 0.9128 0.3463 0.1082  3 Co 2.47-2.70, 4 Al 2.61-2.72
Al 0.7490 0.2510 0.0000  4 Co 2.49-2.50, 4 Al 2.72-2.74
Al 0.2510 0.7490 0.0000  4 Co 2.49-2.50, 4 Al 2.72-2.74
Al 0.4336 0.4336 0.1741  3 Co 2.50-2.57, 3 Al 2.58-2.79
Al 0.5664 0.5664 0.8259  3 Co 2.50-2.57, 3 Al 2.58-2.79
Al 0.7898 0.7898 0.2354  4 Co 2.46-2.70, 5 Al 2.64-2.69
Al 0.2102 0.2102 0.7646  4 Co 2.46-2.70, 5 Al 2.64-2.69
Al 0.5327 0.0947 0.1162  3 Co 2.49-2.71, 4 Al 2.67-2.76
Al 0.4673 0.9053 0.8838  3 Co 2.49-2.71, 4 Al 2.67-2.76
Al 0.9053 0.4673 0.8838  3 Co 2.49-2.71, 4 Al 2.67-2.76
Al 0.0947 0.5327 0.1162  3 Co 2.49-2.71, 4 Al 2.67-2.76
Co 0.4181 0.4181 0.3810  8 Al 2.41-2.60
Co 0.5819 0.5819 0.6190  8 Al 2.41-2.60
Co 0.5917 0.5917 0.0154  8 Al 2.34-2.57
Co 0.4083 0.4083 0.9846  8 Al 2.34-2.57
Co 0.8999 0.8999 0.0169  7 Al 2.33-2.50
Co 0.1001 0.1001 0.9831  7 Al 2.33-2.50
Co 0.8914 0.8914 0.3672  9 Al 2.34-2.59
Co 0.1086 0.1086 0.6328  9 Al 2.34-2.59
Co 0.4502 0.8964 0.2813  7 Al 2.24-2.49
Co 0.5498 0.1036 0.7187  7 Al 2.24-2.49
Co 0.1036 0.5498 0.7187  7 Al 2.24-2.49
Co 0.8964 0.4502 0.2813  7 Al 2.24-2.49

Properties
V ... 14.40 A^3/atom
ΔE_f ... -0.39 eV per atom

=====

No. 6
DFT (PBE) results for MgNb4I4O8 after structural relaxation.

a b c (Å): 3.9686 3.8913 21.8089
angles (deg): 89.75 90.00 90.00
Closest atoms and distances in Å follow each position.
Fractional coordinates of all 17 atoms:
Mg 0.2500 0.9957 0.8176  1 O 2.01
Nb 0.2500 0.4847 0.9452  5 O 1.96-2.14
Nb 0.7500 0.9943 0.5613  5 O 1.96-2.09
Nb 0.7500 0.5036 0.0687  5 O 1.94-2.15
Nb 0.2500 0.0049 0.4360  5 O 1.94-2.11
I 0.2500 0.9976 0.6745  1 O 3.11, 1 Mg 3.12, 2 Nb 3.17
I 0.7500 0.0089 0.3323  1 O 2.99, 2 Nb 3.01
I 0.2500 0.5028 0.1712  1 O 2.97, 2 Nb 2.99
I 0.7500 0.4964 0.7978  4 Mg 2.81
O 0.2500 0.5036 0.4306  2 Nb 1.94-1.95
O 0.7500 0.4977 0.5771  2 Nb 1.96-1.99
O 0.2500 0.9997 0.9099  1 Mg 2.01, 2 Nb 2.04-2.14
O 0.7500 0.0008 0.4695  3 Nb 2.00-2.11
O 0.2500 0.9987 0.5317  3 Nb 2.09
O 0.2500 0.4966 0.0349  3 Nb 1.96-2.12
O 0.7500 0.0026 0.0711  2 Nb 1.94-1.95
O 0.7500 0.5114 0.9699  3 Nb 2.06-2.15

Properties
V ... 19.81 A^3/atom
ΔE_f ... -2.12 eV per atom
M_tot ... 0.87 μB per cell
Polymorph energy (0 for the lowest one) ... 89 kJ/mol of formula units
MP2020-corrected energy ... -7.275 eV/atom